{
  "formula": "Si2BAsH29C9N",
  "functional": "PBE-GGA",
  "state": "relaxed",
  "energy_mp2020_ev_per_cell": -440.437,
  "total_magnetization_mub_per_cell": 0.2,
  "formation_enthalpy_0k_ev_per_atom": -0.192,
  "lattice_angstrom": [[7.804, -5.483, 0.000], [7.804, 5.483, 0.000], [0.000, 0.000, 11.821]],
  "species": ["Si", "Si", "Si", "Si", "B", "B", "As", "As", "H", "H", "H", "H", "H", "H", "H", "H", "H", "H", "H", "H", "H", "H", "H", "H", "H", "H", "H", "H", "H", "H", "H", "H", "H", "H", "H", "H", "H", "H", "H", "H", "H", "H", "H", "H", "H", "H", "H", "H", "H", "H", "H", "H", "H", "H", "H", "H", "H", "H", "H", "H", "H", "H", "H", "H", "H", "H", "C", "C", "C", "C", "C", "C", "C", "C", "C", "C", "C", "C", "C", "C", "C", "C", "C", "C", "N", "N"],
  "fractional_positions": [[0.026, 0.214, 0.000], [0.214, 0.026, 0.500], [0.786, 0.974, 0.000], [0.974, 0.786, 0.500], [0.352, 0.648, 0.584], [0.648, 0.352, 0.084], [0.159, 0.841, 0.609], [0.841, 0.159, 0.109], [0.001, 0.548, 0.605], [0.019, 0.762, 0.053], [0.029, 0.822, 0.911], [0.049, 0.778, 0.297], [0.060, 0.337, 0.821], [0.085, 0.286, 0.444], [0.131, 0.599, 0.361], [0.134, 0.295, 0.170], [0.178, 0.372, 0.042], [0.178, 0.971, 0.911], [0.222, 0.951, 0.297], [0.224, 0.615, 0.796], [0.238, 0.981, 0.053], [0.286, 0.085, 0.944], [0.292, 0.438, 0.726], [0.295, 0.134, 0.670], [0.320, 0.549, 0.537], [0.337, 0.060, 0.321], [0.360, 0.525, 0.130], [0.372, 0.178, 0.542], [0.383, 0.470, 0.852], [0.385, 0.776, 0.796], [0.389, 0.611, 0.259], [0.401, 0.869, 0.361], [0.438, 0.292, 0.226], [0.451, 0.680, 0.537], [0.452, 0.999, 0.605], [0.470, 0.383, 0.352], [0.475, 0.640, 0.130], [0.525, 0.360, 0.630], [0.530, 0.617, 0.852], [0.548, 0.001, 0.105], [0.549, 0.320, 0.037], [0.562, 0.708, 0.726], [0.599, 0.131, 0.861], [0.611, 0.389, 0.759], [0.615, 0.224, 0.296], [0.617, 0.530, 0.352], [0.628, 0.822, 0.042], [0.640, 0.475, 0.630], [0.663, 0.940, 0.821], [0.680, 0.451, 0.037], [0.705, 0.866, 0.170], [0.708, 0.562, 0.226], [0.714, 0.915, 0.444], [0.762, 0.019, 0.553], [0.776, 0.385, 0.296], [0.778, 0.049, 0.797], [0.822, 0.029, 0.411], [0.822, 0.628, 0.542], [0.866, 0.705, 0.670], [0.869, 0.401, 0.861], [0.915, 0.714, 0.944], [0.940, 0.663, 0.321], [0.951, 0.222, 0.797], [0.971, 0.178, 0.411], [0.981, 0.238, 0.553], [0.999, 0.452, 0.105], [0.030, 0.698, 0.356], [0.045, 0.197, 0.476], [0.089, 0.346, 0.088], [0.197, 0.045, 0.976], [0.302, 0.970, 0.356], [0.324, 0.521, 0.775], [0.346, 0.089, 0.588], [0.440, 0.560, 0.179], [0.479, 0.676, 0.775], [0.521, 0.324, 0.275], [0.560, 0.440, 0.679], [0.654, 0.911, 0.088], [0.676, 0.479, 0.275], [0.698, 0.030, 0.856], [0.803, 0.955, 0.476], [0.911, 0.654, 0.588], [0.955, 0.803, 0.976], [0.970, 0.302, 0.856], [0.427, 0.573, 0.705], [0.573, 0.427, 0.205]]
}

***

{
  "formula": "HfNbSi",
  "functional": "PBE-GGA",
  "state": "relaxed",
  "energy_mp2020_ev_per_cell": -105.908,
  "total_magnetization_mub_per_cell": 0.0,
  "formation_enthalpy_0k_ev_per_atom": -0.331,
  "lattice_angstrom": [[8.376, 0.000, 0.000], [0.000, 2.760, 4.698], [0.000, -2.760, 4.698]],
  "species": ["Hf", "Hf", "Hf", "Hf", "Nb", "Nb", "Nb", "Nb", "Si", "Si", "Si", "Si"],
  "fractional_positions": [[0.188, 0.000, 0.000], [0.302, 0.331, 0.331], [0.698, 0.331, 0.331], [0.812, 0.000, 0.000], [0.226, 0.663, 0.663], [0.500, 0.325, 0.831], [0.500, 0.831, 0.325], [0.774, 0.663, 0.663], [0.000, 0.034, 0.475], [0.000, 0.475, 0.034], [0.000, 0.477, 0.477], [0.500, 0.829, 0.829]]
}

***

{
  "formula": "La7Ni3",
  "functional": "PBE-GGA",
  "state": "relaxed",
  "formation_enthalpy_0k_ev_per_atom": -0.226,
  "lattice_angstrom": [[10.109, 0.000, 0.000], [-5.055, 8.755, 0.000], [0.000, 0.000, 6.468]],
  "species": ["La", "La", "La", "La", "La", "La", "La", "La", "La", "La", "La", "La", "La", "La", "Ni", "Ni", "Ni", "Ni", "Ni", "Ni"],
  "fractional_positions": [[0.076, 0.538, 0.000], [0.126, 0.253, 0.672], [0.126, 0.874, 0.672], [0.253, 0.126, 0.172], [0.333, 0.667, 0.461], [0.462, 0.538, 0.000], [0.462, 0.924, 0.000], [0.538, 0.076, 0.500], [0.538, 0.462, 0.500], [0.667, 0.333, 0.961], [0.747, 0.874, 0.672], [0.874, 0.126, 0.172], [0.874, 0.747, 0.172], [0.924, 0.462, 0.500], [0.187, 0.374, 0.231], [0.187, 0.813, 0.231], [0.374, 0.187, 0.731], [0.626, 0.813, 0.231], [0.813, 0.187, 0.731], [0.813, 0.626, 0.731]]
}